[1]
# LaNiSb3

A relaxed LaNiSb3 crystal (PBE, the Materials Project database).

Cell and atoms, written as CIF:
```
data_LaNiSb3
_space_group_name_H-M_alt 'P 1'
_space_group_IT_number 1
_cell_length_a 12.9571
_cell_length_b 6.3252
_cell_length_c 12.2560
_cell_angle_alpha 90.00
_cell_angle_beta 90.00
_cell_angle_gamma 90.00
loop_
_space_group_symop_operation_xyz
'x,y,z'
loop_
_atom_site_label
_atom_site_fract_x
_atom_site_fract_y
_atom_site_fract_z
_atom_site_occupancy
La1 0.1970 0.2252 0.2500 1
La2 0.1970 0.2748 0.7500 1
La3 0.2013 0.7500 0.0000 1
La4 0.2013 0.7500 0.5000 1
La5 0.7987 0.2500 0.0000 1
La6 0.7987 0.2500 0.5000 1
La7 0.8030 0.7252 0.2500 1
La8 0.8030 0.7748 0.7500 1
Ni1 0.4030 0.0434 0.6358 1
Ni2 0.4030 0.0434 0.8642 1
Ni3 0.4030 0.4566 0.1358 1
Ni4 0.4030 0.4566 0.3642 1
Ni5 0.5970 0.5434 0.6358 1
Ni6 0.5970 0.5434 0.8642 1
Ni7 0.5970 0.9566 0.1358 1
Ni8 0.5970 0.9566 0.3642 1
Sb1 0.0027 0.0118 0.6238 1
Sb2 0.0027 0.0118 0.8762 1
Sb3 0.0027 0.4882 0.1238 1
Sb4 0.0027 0.4882 0.3762 1
Sb5 0.2805 0.2500 0.0000 1
Sb6 0.2805 0.2500 0.5000 1
Sb7 0.2869 0.7262 0.2500 1
Sb8 0.2869 0.7738 0.7500 1
Sb9 0.4446 0.1000 0.2500 1
Sb10 0.4446 0.4000 0.7500 1
Sb11 0.4731 0.7500 0.0000 1
Sb12 0.4731 0.7500 0.5000 1
Sb13 0.5269 0.2500 0.0000 1
Sb14 0.5269 0.2500 0.5000 1
Sb15 0.5554 0.6000 0.2500 1
Sb16 0.5554 0.9000 0.7500 1
Sb17 0.7131 0.2262 0.2500 1
Sb18 0.7131 0.2738 0.7500 1
Sb19 0.7195 0.7500 0.0000 1
Sb20 0.7195 0.7500 0.5000 1
Sb21 0.9973 0.5118 0.6238 1
Sb22 0.9973 0.5118 0.8762 1
Sb23 0.9973 0.9882 0.1238 1
Sb24 0.9973 0.9882 0.3762 1
```

Properties
Space group: Pbcm (57)
DFT total energy (eV/atom): -5.270
Formation enthalpy at 0 K (eV/atom): -0.764
Crystal system: orthorhombic



[2]
# MgTi3CuO8

A relaxed MgTi3CuO8 crystal (PBE, the Materials Project database).

Cell and atoms, written as CIF:
```
data_MgTi3CuO8
_space_group_name_H-M_alt 'P 1'
_space_group_IT_number 1
_cell_length_a 3.8771
_cell_length_b 3.8859
_cell_length_c 9.8124
_cell_angle_alpha 90.00
_cell_angle_beta 90.00
_cell_angle_gamma 90.00
loop_
_space_group_symop_operation_xyz
'x,y,z'
loop_
_atom_site_label
_atom_site_fract_x
_atom_site_fract_y
_atom_site_fract_z
_atom_site_occupancy
Mg1 0.0000 0.0000 0.0000 1
Ti1 0.0000 0.0000 0.4103 1
Ti2 0.5000 0.0000 0.6457 1
Ti3 0.5000 0.5000 0.8988 1
Cu1 0.0000 0.5000 0.1972 1
O1 0.0000 0.0000 0.2091 1
O2 0.0000 0.0000 0.6208 1
O3 0.0000 0.5000 0.3979 1
O4 0.0000 0.5000 0.9156 1
O5 0.5000 0.0000 0.4543 1
O6 0.5000 0.0000 0.8794 1
O7 0.5000 0.5000 0.0901 1
O8 0.5000 0.5000 0.6934 1
```

Properties
Total moment (μB per formula unit): 0.000
Space group: Pmm2 (25)
DFT total energy (eV/atom): -7.759
Formation enthalpy at 0 K (eV/atom): -2.876
E above lowest polymorph (kJ per mole of atoms): 2.9
Crystal system: orthorhombic



[3]
# NaEuHfZrO6

A relaxed NaEuHfZrO6 crystal (PBE, the Materials Project database).

Cell and atoms, written as CIF:
```
data_NaEuHfZrO6
_space_group_name_H-M_alt 'P 1'
_space_group_IT_number 1
_cell_length_a 5.8359
_cell_length_b 5.8359
_cell_length_c 5.8359
_cell_angle_alpha 60.00
_cell_angle_beta 60.00
_cell_angle_gamma 60.00
loop_
_space_group_symop_operation_xyz
'x,y,z'
loop_
_atom_site_label
_atom_site_fract_x
_atom_site_fract_y
_atom_site_fract_z
_atom_site_occupancy
Na1 0.0000 0.0000 0.0000 1
Eu1 0.5000 0.5000 0.5000 1
Hf1 0.7500 0.7500 0.7500 1
Zr1 0.2500 0.2500 0.2500 1
O1 0.5018 0.5018 0.9982 1
O2 0.5018 0.9982 0.5018 1
O3 0.5018 0.9982 0.9982 1
O4 0.9982 0.5018 0.5018 1
O5 0.9982 0.5018 0.9982 1
O6 0.9982 0.9982 0.5018 1
```

Properties
Total moment (μB per formula unit): 5.984
Space group: F-43m (216)
DFT total energy (eV/atom): -8.866
Formation enthalpy at 0 K (eV/atom): -3.301
Crystal system: cubic



[4]
# La2Si3Ni

A relaxed La2Si3Ni crystal (PBE, the Materials Project database).

Cell and atoms, written as CIF:
```
data_La2Si3Ni
_space_group_name_H-M_alt 'P 1'
_space_group_IT_number 1
_cell_length_a 4.1057
_cell_length_b 4.1057
_cell_length_c 8.6462
_cell_angle_alpha 90.00
_cell_angle_beta 90.00
_cell_angle_gamma 120.00
loop_
_space_group_symop_operation_xyz
'x,y,z'
loop_
_atom_site_label
_atom_site_fract_x
_atom_site_fract_y
_atom_site_fract_z
_atom_site_occupancy
La1 0.0000 0.0000 0.2398 1
La2 0.0000 0.0000 0.7602 1
Si1 0.3333 0.6667 0.0000 1
Si2 0.3333 0.6667 0.5000 1
Si3 0.6667 0.3333 0.5000 1
Ni1 0.6667 0.3333 0.0000 1
```

Properties
Total moment (μB per formula unit): 0.001
Space group: P-6m2 (187)
DFT total energy (eV/atom): -6.025
Formation enthalpy at 0 K (eV/atom): -0.703
Crystal system: hexagonal



[5]
# Ce16Ru9

A relaxed Ce16Ru9 crystal (PBE, the Materials Project database).

Cell and atoms, written as CIF:
```
data_Ce16Ru9
_space_group_name_H-M_alt 'P 1'
_space_group_IT_number 1
_cell_length_a 10.8308
_cell_length_b 10.8308
_cell_length_c 10.8308
_cell_angle_alpha 77.12
_cell_angle_beta 77.12
_cell_angle_gamma 77.12
loop_
_space_group_symop_operation_xyz
'x,y,z'
loop_
_atom_site_label
_atom_site_fract_x
_atom_site_fract_y
_atom_site_fract_z
_atom_site_occupancy
Ce1 0.0000 0.0000 0.0000 1
Ce2 0.0000 0.2807 0.7193 1
Ce3 0.0000 0.7193 0.2807 1
Ce4 0.0498 0.7967 0.7967 1
Ce5 0.1575 0.1575 0.4321 1
Ce6 0.1575 0.4321 0.1575 1
Ce7 0.1960 0.4684 0.4684 1
Ce8 0.2033 0.2033 0.9502 1
Ce9 0.2033 0.9502 0.2033 1
Ce10 0.2055 0.5000 0.7945 1
Ce11 0.2055 0.7945 0.5000 1
Ce12 0.2807 0.0000 0.7193 1
Ce13 0.2807 0.7193 0.0000 1
Ce14 0.4321 0.1575 0.1575 1
Ce15 0.4684 0.1960 0.4684 1
Ce16 0.4684 0.4684 0.1960 1
Ce17 0.5000 0.2055 0.7945 1
Ce18 0.5000 0.5000 0.5000 1
Ce19 0.5000 0.7945 0.2055 1
Ce20 0.5316 0.5316 0.8040 1
Ce21 0.5316 0.8040 0.5316 1
Ce22 0.5679 0.8425 0.8425 1
Ce23 0.7193 0.0000 0.2807 1
Ce24 0.7193 0.2807 0.0000 1
Ce25 0.7945 0.2055 0.5000 1
Ce26 0.7945 0.5000 0.2055 1
Ce27 0.7967 0.0498 0.7967 1
Ce28 0.7967 0.7967 0.0498 1
Ce29 0.8040 0.5316 0.5316 1
Ce30 0.8425 0.5679 0.8425 1
Ce31 0.8425 0.8425 0.5679 1
Ce32 0.9502 0.2033 0.2033 1
Ru1 0.0042 0.6239 0.6239 1
Ru2 0.0123 0.0123 0.6364 1
Ru3 0.0123 0.6364 0.0123 1
Ru4 0.2717 0.2717 0.6491 1
Ru5 0.2717 0.6491 0.2717 1
Ru6 0.3509 0.7283 0.7283 1
Ru7 0.3636 0.9877 0.9877 1
Ru8 0.3761 0.3761 0.9958 1
Ru9 0.3761 0.9958 0.3761 1
Ru10 0.6239 0.0042 0.6239 1
Ru11 0.6239 0.6239 0.0042 1
Ru12 0.6364 0.0123 0.0123 1
Ru13 0.6491 0.2717 0.2717 1
Ru14 0.7283 0.3509 0.7283 1
Ru15 0.7283 0.7283 0.3509 1
Ru16 0.9877 0.3636 0.9877 1
Ru17 0.9877 0.9877 0.3636 1
Ru18 0.9958 0.3761 0.3761 1
```

Properties
Total moment (μB per formula unit): 2.909
Space group: R-3m (166)
DFT total energy (eV/atom): -7.465
Formation enthalpy at 0 K (eV/atom): -0.329
Crystal system: trigonal



[6]
# MnH21C7S3N

A relaxed MnH21C7S3N crystal (PBE, the Materials Project database).

Cell and atoms, written as CIF:
```
data_MnH21C7S3N
_space_group_name_H-M_alt 'P 1'
_space_group_IT_number 1
_cell_length_a 9.7279
_cell_length_b 9.9346
_cell_length_c 9.9920
_cell_angle_alpha 118.23
_cell_angle_beta 107.20
_cell_angle_gamma 101.68
loop_
_space_group_symop_operation_xyz
'x,y,z'
loop_
_atom_site_label
_atom_site_fract_x
_atom_site_fract_y
_atom_site_fract_z
_atom_site_occupancy
Mn1 0.1452 0.0699 0.4624 1
Mn2 0.8548 0.9301 0.5376 1
H1 0.0195 0.5089 0.3681 1
H2 0.0393 0.6928 0.8241 1
H3 0.0675 0.3478 0.3815 1
H4 0.0873 0.4402 0.0725 1
H5 0.1471 0.6440 0.2619 1
H6 0.1534 0.2284 0.0949 1
H7 0.1934 0.4650 0.7633 1
H8 0.2120 0.1294 0.8685 1
H9 0.2260 0.9475 0.8541 1
H10 0.2630 0.2710 0.2994 1
H11 0.2642 0.3837 0.8811 1
H12 0.2927 0.5839 0.2009 1
H13 0.2925 0.7008 0.5388 1
H14 0.3431 0.5407 0.5547 1
H15 0.3490 0.8718 0.1158 1
H16 0.3592 0.3732 0.2220 1
H17 0.3609 0.0673 0.8221 1
H18 0.3918 0.5722 0.9280 1
H19 0.3923 0.8978 0.3144 1
H20 0.4180 0.0743 0.3039 1
H21 0.4377 0.6404 0.4753 1
H22 0.5623 0.3596 0.5247 1
H23 0.5820 0.9257 0.6961 1
H24 0.6077 0.1022 0.6856 1
H25 0.6082 0.4278 0.0720 1
H26 0.6391 0.9327 0.1779 1
H27 0.6408 0.6268 0.7780 1
H28 0.6510 0.1282 0.8842 1
H29 0.6569 0.4593 0.4453 1
H30 0.7075 0.2992 0.4612 1
H31 0.7073 0.4161 0.7991 1
H32 0.7358 0.6163 0.1189 1
H33 0.7370 0.7290 0.7006 1
H34 0.7740 0.0525 0.1459 1
H35 0.7880 0.8706 0.1315 1
H36 0.8066 0.5350 0.2367 1
H37 0.8466 0.7716 0.9051 1
H38 0.8529 0.3560 0.7381 1
H39 0.9127 0.5598 0.9275 1
H40 0.9325 0.6522 0.6185 1
H41 0.9607 0.3072 0.1759 1
H42 0.9805 0.4911 0.6319 1
C1 0.0507 0.4027 0.3080 1
C2 0.1804 0.5395 0.2021 1
C3 0.2390 0.0218 0.8015 1
C4 0.2487 0.3237 0.2240 1
C5 0.2966 0.4486 0.8244 1
C6 0.3289 0.5978 0.4830 1
C7 0.3431 0.9416 0.2367 1
C8 0.6569 0.0584 0.7633 1
C9 0.6711 0.4022 0.5170 1
C10 0.7034 0.5514 0.1756 1
C11 0.7513 0.6763 0.7760 1
C12 0.7610 0.9782 0.1985 1
C13 0.8196 0.4605 0.7979 1
C14 0.9493 0.5973 0.6920 1
S1 0.1054 0.8932 0.5726 1
S2 0.1386 0.9094 0.1929 1
S3 0.3631 0.3310 0.6700 1
S4 0.6369 0.6690 0.3300 1
S5 0.8614 0.0906 0.8071 1
S6 0.8946 0.1068 0.4274 1
N1 0.2022 0.4662 0.3045 1
N2 0.7978 0.5338 0.6955 1
```

Properties
Total moment (μB per formula unit): 4.999
Space group: P-1 (2)
DFT total energy (eV/atom): -5.174
Formation enthalpy at 0 K (eV/atom): -0.208
E above lowest polymorph (kJ per mole of atoms): 0.0
Crystal system: triclinic



[7]
# CdP2H4O4

A relaxed CdP2H4O4 crystal (PBE, the Materials Project database).

Cell and atoms, written as CIF:
```
data_CdP2H4O4
_space_group_name_H-M_alt 'P 1'
_space_group_IT_number 1
_cell_length_a 8.4135
_cell_length_b 8.4135
_cell_length_c 6.6448
_cell_angle_alpha 100.75
_cell_angle_beta 100.75
_cell_angle_gamma 38.54
loop_
_space_group_symop_operation_xyz
'x,y,z'
loop_
_atom_site_label
_atom_site_fract_x
_atom_site_fract_y
_atom_site_fract_z
_atom_site_occupancy
Cd1 0.1716 0.8284 0.7500 1
Cd2 0.8284 0.1716 0.2500 1
P1 0.1805 0.5467 0.2905 1
P2 0.4533 0.8195 0.2095 1
P3 0.5467 0.1805 0.7905 1
P4 0.8195 0.4533 0.7095 1
H1 0.0498 0.6106 0.0934 1
H2 0.1031 0.4830 0.3920 1
H3 0.3894 0.9502 0.4066 1
H4 0.4830 0.1031 0.8920 1
H5 0.5170 0.8969 0.1080 1
H6 0.6106 0.0498 0.5934 1
H7 0.8969 0.5170 0.6080 1
H8 0.9502 0.3894 0.9066 1
O1 0.0704 0.7931 0.3993 1
O2 0.2069 0.9296 0.1007 1
O3 0.3114 0.4667 0.7708 1
O4 0.4667 0.3114 0.2708 1
O5 0.5333 0.6886 0.7292 1
O6 0.6886 0.5333 0.2292 1
O7 0.7931 0.0704 0.8993 1
O8 0.9296 0.2069 0.6007 1
```

Properties
Total moment (μB per formula unit): 0.001
Space group: C2/c (15)
DFT total energy (eV/atom): -5.166
Formation enthalpy at 0 K (eV/atom): -1.315
Crystal system: monoclinic



[8]
# HfGa2Co

A relaxed HfGa2Co crystal (PBE, the Materials Project database).

Cell and atoms, written as CIF:
```
data_HfGa2Co
_space_group_name_H-M_alt 'P 1'
_space_group_IT_number 1
_cell_length_a 9.5725
_cell_length_b 9.5725
_cell_length_c 9.5725
_cell_angle_alpha 100.41
_cell_angle_beta 100.41
_cell_angle_gamma 129.69
loop_
_space_group_symop_operation_xyz
'x,y,z'
loop_
_atom_site_label
_atom_site_fract_x
_atom_site_fract_y
_atom_site_fract_z
_atom_site_occupancy
Hf1 0.0000 0.0000 0.0000 1
Hf2 0.0842 0.0842 0.4011 1
Hf3 0.0842 0.6831 0.0000 1
Hf4 0.1148 0.3951 0.7197 1
Hf5 0.3951 0.1148 0.7197 1
Hf6 0.3951 0.6754 0.2803 1
Hf7 0.4662 0.4662 0.0000 1
Hf8 0.6754 0.3951 0.2803 1
Hf9 0.6831 0.0842 0.0000 1
Hf10 0.6831 0.6831 0.5989 1
Ga1 0.0966 0.0966 0.7382 1
Ga2 0.0966 0.3584 0.0000 1
Ga3 0.2547 0.8707 0.3839 1
Ga4 0.2731 0.4839 0.4923 1
Ga5 0.2731 0.7808 0.7892 1
Ga6 0.3584 0.0966 0.0000 1
Ga7 0.3584 0.3584 0.2618 1
Ga8 0.4839 0.2731 0.4923 1
Ga9 0.4839 0.9917 0.2108 1
Ga10 0.4868 0.8707 0.6161 1
Ga11 0.5582 0.7205 0.8376 1
Ga12 0.7205 0.5582 0.8376 1
Ga13 0.7205 0.8829 0.1624 1
Ga14 0.7808 0.2731 0.7892 1
Ga15 0.7808 0.9917 0.5077 1
Ga16 0.8707 0.2547 0.3839 1
Ga17 0.8707 0.4868 0.6161 1
Ga18 0.8829 0.7205 0.1624 1
Ga19 0.9917 0.4839 0.2108 1
Ga20 0.9917 0.7808 0.5077 1
Co1 0.0314 0.2473 0.2159 1
Co2 0.0314 0.8155 0.7841 1
Co3 0.1209 0.6209 0.5000 1
Co4 0.2473 0.0314 0.2159 1
Co5 0.3748 0.3748 0.6753 1
Co6 0.3748 0.6995 0.0000 1
Co7 0.6209 0.1209 0.5000 1
Co8 0.6995 0.3748 0.0000 1
Co9 0.6995 0.6995 0.3247 1
Co10 0.8155 0.0314 0.7841 1
```

Properties
Space group: I4mm (107)
DFT total energy (eV/atom): -6.292
Formation enthalpy at 0 K (eV/atom): -0.511
Crystal system: tetragonal



[9]
# KTiI3

A relaxed KTiI3 crystal (PBE, the Materials Project database).

Cell and atoms, written as CIF:
```
data_KTiI3
_space_group_name_H-M_alt 'P 1'
_space_group_IT_number 1
_cell_length_a 14.0581
_cell_length_b 14.0581
_cell_length_c 6.9653
_cell_angle_alpha 90.00
_cell_angle_beta 90.00
_cell_angle_gamma 120.00
loop_
_space_group_symop_operation_xyz
'x,y,z'
loop_
_atom_site_label
_atom_site_fract_x
_atom_site_fract_y
_atom_site_fract_z
_atom_site_occupancy
K1 0.0049 0.3211 0.0000 1
K2 0.3162 0.9951 0.0000 1
K3 0.3211 0.3162 0.5000 1
K4 0.6789 0.6838 0.0000 1
K5 0.6838 0.0049 0.5000 1
K6 0.9951 0.6789 0.5000 1
Ti1 0.0000 0.0000 0.1962 1
Ti2 0.0000 0.0000 0.6962 1
Ti3 0.3333 0.6667 0.3457 1
Ti4 0.3333 0.6667 0.8734 1
Ti5 0.6667 0.3333 0.3734 1
Ti6 0.6667 0.3333 0.8457 1
I1 0.0183 0.8449 0.9455 1
I2 0.1467 0.6150 0.1125 1
I3 0.1551 0.1734 0.9455 1
I4 0.1734 0.0183 0.4455 1
I5 0.2038 0.4874 0.6127 1
I6 0.2836 0.7962 0.6127 1
I7 0.3850 0.5317 0.1125 1
I8 0.4683 0.8533 0.1125 1
I9 0.4874 0.2836 0.1127 1
I10 0.5126 0.7164 0.6127 1
I11 0.5317 0.1467 0.6125 1
I12 0.6150 0.4683 0.6125 1
I13 0.7164 0.2038 0.1127 1
I14 0.7962 0.5126 0.1127 1
I15 0.8266 0.9817 0.9455 1
I16 0.8449 0.8266 0.4455 1
I17 0.8533 0.3850 0.6125 1
I18 0.9817 0.1551 0.4455 1
```

Properties
Total moment (μB per formula unit): 2.000
Space group: P6_3 (173)
DFT total energy (eV/atom): -3.690
Formation enthalpy at 0 K (eV/atom): -1.202
Crystal system: hexagonal



[10]
# Y2HfO5

A relaxed Y2HfO5 crystal (PBE, the Materials Project database).

Cell and atoms, written as CIF:
```
data_Y2HfO5
_space_group_name_H-M_alt 'P 1'
_space_group_IT_number 1
_cell_length_a 10.7547
_cell_length_b 3.7445
_cell_length_c 11.6297
_cell_angle_alpha 90.00
_cell_angle_beta 90.00
_cell_angle_gamma 90.00
loop_
_space_group_symop_operation_xyz
'x,y,z'
loop_
_atom_site_label
_atom_site_fract_x
_atom_site_fract_y
_atom_site_fract_z
_atom_site_occupancy
Y1 0.1220 0.2500 0.2239 1
Y2 0.1304 0.2500 0.5608 1
Y3 0.3696 0.7500 0.0608 1
Y4 0.3780 0.7500 0.7239 1
Y5 0.6220 0.2500 0.2761 1
Y6 0.6304 0.2500 0.9392 1
Y7 0.8696 0.7500 0.4392 1
Y8 0.8780 0.7500 0.7761 1
Hf1 0.1701 0.2500 0.8857 1
Hf2 0.3299 0.7500 0.3857 1
Hf3 0.6701 0.2500 0.6143 1
Hf4 0.8299 0.7500 0.1143 1
O1 0.0043 0.7500 0.6046 1
O2 0.0053 0.7500 0.1562 1
O3 0.2298 0.2500 0.0514 1
O4 0.2450 0.7500 0.8886 1
O5 0.2494 0.7500 0.2295 1
O6 0.2506 0.2500 0.7295 1
O7 0.2550 0.2500 0.3886 1
O8 0.2702 0.7500 0.5514 1
O9 0.4947 0.2500 0.6562 1
O10 0.4957 0.2500 0.1046 1
O11 0.5043 0.7500 0.8954 1
O12 0.5053 0.7500 0.3438 1
O13 0.7298 0.2500 0.4486 1
O14 0.7450 0.7500 0.6115 1
O15 0.7494 0.7500 0.2705 1
O16 0.7506 0.2500 0.7705 1
O17 0.7550 0.2500 0.1114 1
O18 0.7702 0.7500 0.9486 1
O19 0.9947 0.2500 0.8438 1
O20 0.9957 0.2500 0.3954 1
```

Properties
Total moment (μB per formula unit): 0.000
Space group: Pnma (62)
DFT total energy (eV/atom): -9.477
Formation enthalpy at 0 K (eV/atom): -3.952
E above lowest polymorph (kJ per mole of atoms): 3.5
Crystal system: orthorhombic